1.
A relaxed structure of CeSn4Rh2. Source: Materials Project, functional PBE.

a = 4.539 Å, b = 7.208 Å, c = 18.673 Å
α = 90.00°, β = 90.00°, γ = 90.00°
Element x y z (fractional)
Ce (0.250, 0.999, 0.859)
Ce (0.250, 0.501, 0.359)
Ce (0.750, 0.001, 0.141)
Ce (0.750, 0.499, 0.641)
Sn (0.250, 0.300, 0.182)
Sn (0.250, 0.200, 0.682)
Sn (0.750, 0.700, 0.818)
Sn (0.750, 0.800, 0.318)
Sn (0.250, 0.724, 0.195)
Sn (0.250, 0.776, 0.695)
Sn (0.750, 0.276, 0.805)
Sn (0.750, 0.224, 0.305)
Sn (0.250, 0.864, 0.032)
Sn (0.250, 0.636, 0.532)
Sn (0.750, 0.136, 0.968)
Sn (0.750, 0.364, 0.468)
Sn (0.250, 0.518, 0.932)
Sn (0.250, 0.982, 0.432)
Sn (0.750, 0.482, 0.068)
Sn (0.750, 0.018, 0.568)
Rh (0.250, 0.251, 0.034)
Rh (0.250, 0.249, 0.534)
Rh (0.750, 0.749, 0.966)
Rh (0.750, 0.751, 0.466)
Rh (0.250, 0.018, 0.288)
Rh (0.250, 0.482, 0.788)
Rh (0.750, 0.982, 0.712)
Rh (0.750, 0.518, 0.212)

Calculated values
**DFT total energy**: -0.4303 Ry per atom
**SG**: Pnma, No. 62
**ΔH_f (0 K)**: -0.611 eV per atom
**Magnetic moment**: 2.4 μB/cell



2.
A relaxed structure of CeY4Rh5. Source: Materials Project, functional PBE.

a = 3.452 Å, b = 3.452 Å, c = 17.184 Å
α = 90.00°, β = 90.00°, γ = 90.00°
Element x y z (fractional)
Ce (0.000, 0.000, 0.000)
Y (0.000, 0.000, 0.202)
Y (0.000, 0.000, 0.400)
Y (0.000, 0.000, 0.600)
Y (0.000, 0.000, 0.798)
Rh (0.500, 0.500, 0.098)
Rh (0.500, 0.500, 0.300)
Rh (0.500, 0.500, 0.500)
Rh (0.500, 0.500, 0.700)
Rh (0.500, 0.500, 0.902)

Calculated values
**DFT total energy**: -0.5643 Ry per atom
**SG**: P4/mmm, No. 123
**ΔH_f (0 K)**: -0.815 eV per atom



3.
A relaxed structure of Ce3YRh4. Source: Materials Project, functional PBE.

a = 3.816 Å, b = 4.168 Å, c = 10.971 Å
α = 90.00°, β = 90.00°, γ = 90.00°
Element x y z (fractional)
Ce (0.000, 0.750, 0.863)
Ce (0.000, 0.250, 0.143)
Ce (0.500, 0.250, 0.632)
Y (0.500, 0.750, 0.361)
Rh (0.500, 0.750, 0.093)
Rh (0.000, 0.750, 0.596)
Rh (0.000, 0.250, 0.409)
Rh (0.500, 0.250, 0.903)

Calculated values
**DFT total energy**: -0.5509 Ry per atom
**SG**: Pmm2, No. 25
**ΔH_f (0 K)**: -0.780 eV per atom
**Magnetic moment**: 0.0 μB/cell



4.
A relaxed structure of CeYRh4. Source: Materials Project, functional PBE.

a = 5.369 Å, b = 5.369 Å, c = 5.369 Å
α = 60.00°, β = 60.00°, γ = 60.00°
Element x y z (fractional)
Ce (0.250, 0.250, 0.250)
Y (0.000, 0.000, 0.000)
Rh (0.625, 0.625, 0.125)
Rh (0.625, 0.125, 0.625)
Rh (0.125, 0.625, 0.625)
Rh (0.625, 0.625, 0.625)

Calculated values
**DFT total energy**: -0.5643 Ry per atom
**SG**: F-43m, No. 216
**ΔH_f (0 K)**: -0.702 eV per atom
**Magnetic moment**: 0.1 μB/cell



5.
A relaxed structure of Ce7Ru3. Source: Materials Project, functional PBE.

a = 9.627 Å, b = 9.627 Å, c = 6.174 Å
α = 90.00°, β = 90.00°, γ = 120.00°
Element x y z (fractional)
Ce (0.926, 0.463, 0.036)
Ce (0.463, 0.537, 0.536)
Ce (0.126, 0.874, 0.257)
Ce (0.252, 0.126, 0.757)
Ce (0.874, 0.748, 0.757)
Ce (0.126, 0.252, 0.257)
Ce (0.748, 0.874, 0.257)
Ce (0.874, 0.126, 0.757)
Ce (0.537, 0.074, 0.036)
Ce (0.463, 0.926, 0.536)
Ce (0.074, 0.537, 0.536)
Ce (0.537, 0.463, 0.036)
Ce (0.667, 0.333, 0.538)
Ce (0.333, 0.667, 0.038)
Ru (0.182, 0.818, 0.787)
Ru (0.364, 0.182, 0.287)
Ru (0.818, 0.636, 0.287)
Ru (0.182, 0.364, 0.787)
Ru (0.636, 0.818, 0.787)
Ru (0.818, 0.182, 0.287)

Calculated values
**DFT total energy**: -0.5298 Ry per atom
**SG**: P6_3mc, No. 186
**ΔH_f (0 K)**: -0.273 eV per atom
**Magnetic moment**: 5.7 μB/cell



6.
A relaxed structure of Ce4Ru. Source: Materials Project, functional PBE.

a = 7.388 Å, b = 7.388 Å, c = 7.388 Å
α = 60.00°, β = 60.00°, γ = 60.00°
Element x y z (fractional)
Ce (0.608, 0.608, 0.608)
Ce (0.177, 0.608, 0.608)
Ce (0.608, 0.177, 0.608)
Ce (0.573, 0.142, 0.142)
Ce (0.142, 0.142, 0.142)
Ce (0.608, 0.608, 0.177)
Ce (0.142, 0.573, 0.142)
Ce (0.142, 0.142, 0.573)
Ru (0.000, 0.000, 0.000)
Ru (0.750, 0.750, 0.750)

Calculated values
**DFT total energy**: -0.4676 Ry per atom
**SG**: Fd-3m, No. 227
**ΔH_f (0 K)**: 0.240 eV per atom
**Magnetic moment**: 4.6 μB/cell